{
  "formula": "CaCl2",
  "functional": "r²SCAN",
  "state": "optimized geometry",
  "total_magnetization_mub_per_fu": 0.00,
  "energy_ev_per_cell": -54.6,
  "crystal_system": "tetragonal",
  "formation_enthalpy_0k_mev_per_atom": -2645,
  "lattice": [[-2.1583, 3.5739, -0.2787], [-2.7272, -2.0692, -5.4137], [-4.7617, -2.6108, 3.3967]],
  "species": ["Cl", "Cl", "Ca", "Ca", "Cl", "Cl"],
  "fractional_positions": [[0.0000, 0.3032, 0.3032], [0.5000, 0.1968, 0.8032], [0.0000, 0.0000, 0.0000], [0.5000, 0.5000, 0.5000], [0.5000, 0.8032, 0.1968], [0.0000, 0.6968, 0.6968]]
}